Record 1
Material: HfMg14NbO16
Method: DFT, GGA-PBE
State: relaxed

Cell and atoms, written as POSCAR:
```
HfMg14NbO16
1.0
4.3213 0.0000 0.0000
0.0000 8.6679 0.0000
0.0000 0.0000 8.7347
Hf Mg Nb O
1 14 1 16
Direct
0.0000 0.0000 0.0000
0.0000 0.0000 0.5000
0.0000 0.2577 0.2550
0.0000 0.2577 0.7450
0.0000 0.5000 0.5000
0.0000 0.7423 0.2550
0.0000 0.7423 0.7450
0.5000 0.0000 0.2597
0.5000 0.0000 0.7403
0.5000 0.2516 0.5000
0.5000 0.2592 0.0000
0.5000 0.5000 0.2545
0.5000 0.5000 0.7455
0.5000 0.7408 0.0000
0.5000 0.7484 0.5000
0.0000 0.5000 0.0000
0.0000 0.0000 0.2542
0.0000 0.0000 0.7458
0.0000 0.2380 0.0000
0.0000 0.2463 0.5000
0.0000 0.5000 0.2699
0.0000 0.5000 0.7301
0.0000 0.7537 0.5000
0.0000 0.7620 0.0000
0.5000 0.0000 0.0000
0.5000 0.0000 0.5000
0.5000 0.2487 0.2493
0.5000 0.2487 0.7507
0.5000 0.5000 0.0000
0.5000 0.5000 0.5000
0.5000 0.7513 0.2493
0.5000 0.7513 0.7507
```

Values from the calculation:
- Magnetization: 0.026 μB/atom
- Mass density: 4.404 g/cm³
- Space-group type: Pmmm
- Excess energy over the best structure of this formula in the dataset: 0.000 eV per atom



Record 2
Material: HfMg14NbO16
Method: DFT, GGA-PBE
State: relaxed

Cell and atoms, written as POSCAR:
```
HfMg14NbO16
1.0
8.6839 0.0000 0.0000
0.0000 8.6839 0.0000
0.0000 0.0000 4.3706
Hf Mg Nb O
1 14 1 16
Direct
0.0000 0.0000 0.0000
0.0000 0.2561 0.5000
0.0000 0.5000 0.0000
0.0000 0.7439 0.5000
0.2481 0.5000 0.5000
0.2540 0.2540 0.0000
0.2540 0.7460 0.0000
0.2561 0.0000 0.5000
0.5000 0.0000 0.0000
0.5000 0.2481 0.5000
0.5000 0.7519 0.5000
0.7439 0.0000 0.5000
0.7460 0.2540 0.0000
0.7460 0.7460 0.0000
0.7519 0.5000 0.5000
0.5000 0.5000 0.0000
0.0000 0.0000 0.5000
0.0000 0.2519 0.0000
0.0000 0.5000 0.5000
0.0000 0.7481 0.0000
0.2365 0.5000 0.0000
0.2492 0.2492 0.5000
0.2492 0.7508 0.5000
0.2519 0.0000 0.0000
0.5000 0.0000 0.5000
0.5000 0.2365 0.0000
0.5000 0.5000 0.5000
0.5000 0.7635 0.0000
0.7481 0.0000 0.0000
0.7508 0.2492 0.5000
0.7508 0.7508 0.5000
0.7635 0.5000 0.0000
```

Values from the calculation:
- Magnetization: 0.099 μB/atom
- Mass density: 4.372 g/cm³
- Space-group type: P4/mmm
- Excess energy over the best structure of this formula in the dataset: 0.014 eV per atom



Record 3
Material: HfMg6Ni
Method: DFT, GGA-PBE
State: relaxed

Cell and atoms, written as POSCAR:
```
HfMg6Ni
1.0
-1.0671 -2.7163 -3.8352
5.8890 -0.2219 -1.4814
1.2004 -9.1426 6.1412
Ni Mg Hf
2 12 2
Direct
0.0000 0.5000 0.3041
0.0000 0.0000 0.8041
0.0000 0.2558 0.0800
0.5000 0.0000 0.1666
0.5000 0.2445 0.9261
0.0000 0.0000 0.3254
0.0000 0.5000 0.8254
0.5000 0.5000 0.6666
0.0000 0.2442 0.5800
0.5000 0.7445 0.4261
0.5000 0.7555 0.9261
0.5000 0.2555 0.4261
0.0000 0.7442 0.0800
0.0000 0.7558 0.5800
0.5000 0.0000 0.6919
0.5000 0.5000 0.1919
```

Values from the calculation:
- Magnetization: 0.000 μB/atom
- Mass density: 3.921 g/cm³
- Excess energy over the best structure of this formula in the dataset: 0.000 eV per atom



Record 4
Material: HfMg6Ni
Method: DFT, GGA-PBE
State: relaxed

Cell and atoms, written as POSCAR:
```
HfMg6Ni
1.0
4.8918 0.0000 0.0000
0.0000 2.9657 5.4693
0.0000 -2.9657 5.4693
Hf Mg Ni
1 6 1
Direct
0.0000 0.0000 0.0000
0.0000 0.0017 0.4935
0.0000 0.4935 0.0017
0.5000 0.1585 0.1585
0.5000 0.1744 0.6565
0.5000 0.6500 0.6500
0.5000 0.6565 0.1744
0.0000 0.4926 0.4926
```

Values from the calculation:
- Magnetization: 0.000 μB/atom
- Mass density: 4.008 g/cm³
- Space-group type: Amm2
- Excess energy over the best structure of this formula in the dataset: 0.046 eV per atom



Record 5
Material: HfMgO3
Method: DFT, GGA-PBE
State: relaxed

Cell and atoms, written as POSCAR:
```
HfMgO3
1.0
4.0725 0.0000 0.0000
0.0000 4.0725 0.0000
0.0000 0.0000 4.0725
Hf Mg O
1 1 3
Direct
0.0000 0.0000 0.0000
0.5000 0.5000 0.5000
0.0000 0.0000 0.5000
0.0000 0.5000 0.0000
0.5000 0.0000 0.0000
```

Values from the calculation:
- Magnetization: 0.000 μB/atom
- Mass density: 6.166 g/cm³
- Calculated total energy: -7.912 eV/atom
- Space-group type: Pm-3m



Record 6
Material: RbHfMg6O7
Method: DFT, GGA-PBE
State: relaxed

Cell and atoms, written as POSCAR:
```
RbHfMg6O7
1.0
4.1114 0.0000 0.0000
0.0000 4.1114 0.0000
0.0000 0.0000 13.0577
Rb Hf Mg O
1 1 6 7
Direct
0.0000 0.0000 0.0000
0.5000 0.5000 0.8431
0.0000 0.0000 0.4582
0.0000 0.5000 0.2673
0.0000 0.5000 0.6532
0.5000 0.0000 0.2673
0.5000 0.0000 0.6532
0.5000 0.5000 0.4635
0.0000 0.0000 0.6094
0.0000 0.5000 0.4232
0.0000 0.5000 0.8060
0.5000 0.0000 0.4232
0.5000 0.0000 0.8060
0.5000 0.5000 0.6202
0.5000 0.5000 0.9877
```

Values from the calculation:
- Magnetization: 0.002 μB/atom
- Mass density: 3.926 g/cm³
- Space-group type: P4mm
- Excess energy over the best structure of this formula in the dataset: 0.023 eV per atom



Record 7
Material: RbHfMg14O15
Method: DFT, GGA-PBE
State: relaxed

Cell and atoms, written as POSCAR:
```
RbHfMg14O15
1.0
4.4314 0.0000 0.0000
0.0000 8.8914 0.0000
0.0000 0.0000 8.7067
Rb Hf Mg O
1 1 14 15
Direct
0.0000 0.0000 0.0000
0.0000 0.5000 0.5394
0.0000 0.0000 0.5521
0.0000 0.2361 0.2880
0.0000 0.2620 0.7990
0.0000 0.5000 0.0530
0.0000 0.7380 0.7990
0.0000 0.7639 0.2880
0.5000 0.0000 0.2987
0.5000 0.0000 0.7796
0.5000 0.2408 0.5436
0.5000 0.2511 0.0518
0.5000 0.5000 0.2866
0.5000 0.5000 0.8075
0.5000 0.7489 0.0518
0.5000 0.7592 0.5436
0.0000 0.0000 0.3212
0.0000 0.2600 0.5418
0.0000 0.2790 0.0483
0.0000 0.5000 0.2983
0.0000 0.5000 0.7895
0.0000 0.7210 0.0483
0.0000 0.7400 0.5418
0.5000 0.0000 0.0729
0.5000 0.0000 0.5410
0.5000 0.2544 0.2995
0.5000 0.2548 0.7968
0.5000 0.5000 0.0472
0.5000 0.5000 0.5438
0.5000 0.7452 0.7968
0.5000 0.7456 0.2995
```

Values from the calculation:
- Magnetization: 0.024 μB/atom
- Mass density: 4.086 g/cm³
- Space-group type: Pmm2
- Excess energy over the best structure of this formula in the dataset: 0.082 eV per atom



Record 8
Material: RbHfMg14O15
Method: DFT, GGA-PBE
State: relaxed

Cell and atoms, written as POSCAR:
```
RbHfMg14O15
1.0
4.1776 0.0000 0.0000
0.0000 8.4178 0.0000
0.0000 0.0000 10.7896
Rb Hf Mg O
1 1 14 15
Direct
0.0000 0.0000 0.0000
0.0000 0.5000 0.0534
0.0000 0.0000 0.5376
0.0000 0.2468 0.3300
0.0000 0.2523 0.7477
0.0000 0.5000 0.5240
0.0000 0.7477 0.7477
0.0000 0.7532 0.3300
0.5000 0.0000 0.3319
0.5000 0.0000 0.7358
0.5000 0.2335 0.1410
0.5000 0.2556 0.5451
0.5000 0.5000 0.3344
0.5000 0.5000 0.7877
0.5000 0.7444 0.5451
0.5000 0.7665 0.1410
0.0000 0.0000 0.3531
0.0000 0.2570 0.5491
0.0000 0.2811 0.1270
0.0000 0.5000 0.3377
0.0000 0.5000 0.8565
0.0000 0.7189 0.1270
0.0000 0.7430 0.5491
0.5000 0.0000 0.1429
0.5000 0.0000 0.5453
0.5000 0.2539 0.3332
0.5000 0.2585 0.7480
0.5000 0.5000 0.0980
0.5000 0.5000 0.5399
0.5000 0.7415 0.7480
0.5000 0.7461 0.3332
```

Values from the calculation:
- Magnetization: 0.000 μB/atom
- Mass density: 3.695 g/cm³
- Space-group type: Pmm2
- Excess energy over the best structure of this formula in the dataset: 0.025 eV per atom



Question: The highest magnetization belongs to which entry?
Answer: number 2



Question: What is the formula in the eighth record?
Answer: RbHfMg14O15